No. 1
Entry from the Materials Project database: a geometry-optimized Ga8BIr4 structure (PBE-GGA).

Unit cell a=12.265 b=12.265 c=12.265 alpha=138.83 beta=138.83 gamma=59.63
Sites, in units of the cell vectors:
Ga 0.151 0.875 0.153
Ga 0.501 0.777 0.153
Ga 0.625 0.349 0.847
Ga 0.099 0.751 0.224
Ga 0.527 0.875 0.776
Ga 0.625 0.973 0.224
Ga 0.749 0.401 0.776
Ga 0.723 0.999 0.847
Ga 0.599 0.375 0.347
Ga 0.249 0.473 0.347
Ga 0.125 0.901 0.653
Ga 0.651 0.499 0.276
Ga 0.251 0.032 0.651
Ga 0.782 0.631 0.281
Ga 0.350 0.501 0.719
Ga 0.999 0.150 0.281
Ga 0.869 0.718 0.719
Ga 0.900 0.119 0.651
Ga 0.468 0.249 0.349
Ga 0.381 0.600 0.349
Ga 0.499 0.218 0.849
Ga 0.968 0.619 0.219
Ga 0.400 0.749 0.781
Ga 0.751 0.100 0.219
Ga 0.881 0.532 0.781
Ga 0.850 0.131 0.849
Ga 0.282 0.001 0.151
Ga 0.369 0.650 0.151
Ga 0.027 0.251 0.653
Ga 0.001 0.849 0.724
Ga 0.125 0.277 0.276
Ga 0.223 0.375 0.724
B 0.500 0.000 0.500
B 0.750 0.750 0.000
B 0.250 0.250 0.000
B 0.000 0.500 0.500
Ir 0.648 0.648 0.000
Ir 0.398 0.898 0.500
Ir 0.602 0.102 0.500
Ir 0.852 0.852 0.000
Ir 0.102 0.602 0.500
Ir 0.352 0.352 0.000
Ir 0.148 0.148 0.000
Ir 0.898 0.398 0.500
Ir 0.074 0.426 0.000
Ir 0.176 0.676 0.851
Ir 0.824 0.324 0.149
Ir 0.426 0.074 0.000
Ir 0.676 0.824 0.500
Ir 0.574 0.574 0.649
Ir 0.926 0.926 0.351
Ir 0.324 0.176 0.500

Summary:
The calculation puts the total energy at -5.538 eV/atom. The calculation puts the total magnetization at 0.000 μB/atom. For the energy of formation from the pure elements, the calculation gives -0.442 eV/atom.

=====

No. 2
Entry from the Materials Project database: a geometry-optimized CeSe2 structure (PBE-GGA).

Unit cell a=9.340 b=9.340 c=9.340 alpha=98.46 beta=98.46 gamma=98.46
Sites, in units of the cell vectors:
Ce 0.881 0.243 0.593
Ce 0.243 0.593 0.881
Ce 0.593 0.881 0.243
Ce 0.119 0.757 0.407
Ce 0.757 0.407 0.119
Ce 0.407 0.119 0.757
Se 0.000 0.500 0.500
Se 0.500 0.500 0.000
Se 0.500 0.000 0.500
Se 0.707 0.255 0.817
Se 0.255 0.817 0.707
Se 0.817 0.707 0.255
Se 0.293 0.745 0.183
Se 0.745 0.183 0.293
Se 0.183 0.293 0.745
Se 0.000 0.000 0.500
Se 0.000 0.500 0.000
Se 0.500 0.000 0.000

Summary:
The calculation puts the total energy at -5.578 eV/atom. The calculation puts the total magnetization at 0.000 μB/atom. For the energy of formation from the pure elements, the calculation gives -1.584 eV/atom.

=====

No. 3
Entry from the Materials Project database: a geometry-optimized Ba2B2AsH3F18 structure (PBE-GGA).

Unit cell a=7.016 b=7.016 c=17.893 alpha=90.00 beta=90.00 gamma=120.00
Sites, in units of the cell vectors:
Ba 0.667 0.333 0.377
Ba 0.333 0.667 0.623
Ba 0.333 0.667 0.877
Ba 0.667 0.333 0.123
B 0.667 0.333 0.609
B 0.333 0.667 0.391
B 0.333 0.667 0.109
B 0.667 0.333 0.891
As 0.000 0.000 0.500
As 0.000 0.000 0.000
H 0.889 0.111 0.250
H 0.889 0.778 0.250
H 0.222 0.111 0.250
H 0.111 0.889 0.750
H 0.111 0.222 0.750
H 0.778 0.889 0.750
F 0.805 0.195 0.250
F 0.805 0.610 0.250
F 0.390 0.195 0.250
F 0.195 0.805 0.750
F 0.195 0.390 0.750
F 0.610 0.805 0.750
F 0.443 0.887 0.365
F 0.113 0.557 0.365
F 0.443 0.557 0.365
F 0.557 0.113 0.635
F 0.887 0.443 0.635
F 0.557 0.443 0.635
F 0.557 0.113 0.865
F 0.887 0.443 0.865
F 0.557 0.443 0.865
F 0.443 0.887 0.135
F 0.113 0.557 0.135
F 0.443 0.557 0.135
F 0.762 0.881 0.557
F 0.119 0.881 0.557
F 0.119 0.238 0.557
F 0.238 0.119 0.443
F 0.881 0.119 0.443
F 0.881 0.762 0.443
F 0.238 0.119 0.057
F 0.881 0.119 0.057
F 0.881 0.762 0.057
F 0.762 0.881 0.943
F 0.119 0.881 0.943
F 0.119 0.238 0.943
F 0.000 0.000 0.750
F 0.000 0.000 0.250
F 0.667 0.333 0.529
F 0.333 0.667 0.471
F 0.333 0.667 0.029
F 0.667 0.333 0.971

Summary:
The calculation puts the total energy at -5.252 eV/atom. The calculation puts the total magnetization at 0.001 μB/atom. For the energy of formation from the pure elements, the calculation gives -3.014 eV/atom.